Below is crystalline Y3Ga8Ag3 at its relaxed geometry, with properties calculated at the GGA-PBE level.

Values from the calculation:
E_tot = -58.65 eV for the cell shown
Calculated formation energy = -0.466 eV/atom
Total magnetic moment = 0.00 μB per formula unit
Symmetry = No. 71

Unit cell a=8.363 b=8.363 c=8.363 alpha=149.86 beta=109.83 gamma=78.23
Fractional coordinates of all 14 atoms:
Y  0.000  0.000  0.000
Y  0.300  0.300  0.000
Y  0.700  0.700  0.000
Ga  0.028  0.659  0.369
Ga  0.138  0.858  0.280
Ga  0.290  0.659  0.631
Ga  0.423  0.142  0.280
Ga  0.577  0.858  0.720
Ga  0.710  0.341  0.369
Ga  0.862  0.142  0.720
Ga  0.972  0.341  0.631
Ag  0.309  0.500  0.809
Ag  0.500  0.000  0.500
Ag  0.691  0.500  0.191

=====

Below is crystalline GdAg3 at its relaxed geometry, with properties calculated at the GGA-PBE level.

Values from the calculation:
E_tot = -36.94 eV for the cell shown
Calculated formation energy = 1.026 eV/atom
Total magnetic moment = 1.73 μB per formula unit
Symmetry = No. 194

Unit cell a=6.360 b=6.360 c=4.946 alpha=90.00 beta=90.00 gamma=120.00
Fractional coordinates of all 8 atoms:
Gd  0.333  0.667  0.250
Gd  0.667  0.333  0.750
Ag  0.156  0.311  0.750
Ag  0.156  0.844  0.750
Ag  0.311  0.156  0.250
Ag  0.689  0.844  0.750
Ag  0.844  0.156  0.250
Ag  0.844  0.689  0.250

=====

Below is crystalline GdAg at its relaxed geometry, with properties calculated at the GGA-PBE level.

Values from the calculation:
E_tot = -17.53 eV for the cell shown
Calculated formation energy = -0.309 eV/atom
Symmetry = No. 221

Unit cell a=3.687 b=3.687 c=3.687 alpha=90.00 beta=90.00 gamma=90.00
Fractional coordinates of all 2 atoms:
Gd  0.000  0.000  0.000
Ag  0.500  0.500  0.500

=====

Below is crystalline Gd3Ag at its relaxed geometry, with properties calculated at the GGA-PBE level.

Values from the calculation:
E_tot = -90.35 eV for the cell shown
Calculated formation energy = -0.028 eV/atom
Total magnetic moment = 23.33 μB per formula unit
Symmetry = No. 194

Unit cell a=6.925 b=6.925 c=5.451 alpha=90.00 beta=90.00 gamma=120.00
Fractional coordinates of all 8 atoms:
Gd  0.173  0.345  0.250
Gd  0.173  0.827  0.250
Gd  0.345  0.173  0.750
Gd  0.655  0.827  0.250
Gd  0.827  0.173  0.750
Gd  0.827  0.655  0.750
Ag  0.333  0.667  0.750
Ag  0.667  0.333  0.250

=====

Below is crystalline GdAg2 at its relaxed geometry, with properties calculated at the GGA-PBE level.

Values from the calculation:
E_tot = -20.61 eV for the cell shown
Calculated formation energy = -0.290 eV/atom
Symmetry = No. 139

Unit cell a=5.398 b=5.398 c=5.398 alpha=139.25 beta=139.25 gamma=59.00
Fractional coordinates of all 3 atoms:
Gd  0.000  0.000  0.000
Ag  0.328  0.328  0.000
Ag  0.672  0.672  0.000

=====

Below is crystalline Gd2AgIr at its relaxed geometry, with properties calculated at the GGA-PBE level.

Values from the calculation:
E_tot = -42.07 eV for the cell shown
Calculated formation energy = -0.562 eV/atom
Symmetry = No. 225

Unit cell a=5.030 b=5.030 c=5.030 alpha=60.00 beta=60.00 gamma=60.00
Fractional coordinates of all 4 atoms:
Gd  0.250  0.250  0.250
Gd  0.750  0.750  0.750
Ag  0.000  0.000  0.000
Ir  0.500  0.500  0.500

=====

Q: Which of these has the lowest calculated formation energy?
A: Gd2AgIr